1.
Material: Li3Ti2P3O12
Method: DFT, GGA-PBE
State: optimized geometry

Geometry as extended XYZ:
```
40
Lattice="7.368 -4.471 0.000 7.368 4.471 0.000 -4.641 0.000 7.234" Properties=species:S:1:pos:R:3 pbc="T T T"
Li 0.000 0.000 0.000
Li 3.936 1.768 0.643
Li 2.390 -0.907 2.005
Li 6.160 1.768 6.592
Li 5.048 -1.682 3.617
Li 7.706 -0.907 5.229
Ti -0.244 -0.900 2.864
Ti 5.393 -0.866 0.747
Ti 4.703 -0.866 6.487
Ti 10.340 -0.900 4.370
P -1.557 0.436 5.760
P 7.368 1.819 0.000
P 5.048 0.975 3.617
P 1.903 -2.225 5.050
P 11.653 0.436 1.474
P 8.193 -2.225 2.184
O -3.015 -0.044 5.632
O 0.924 0.692 2.188
O 2.191 2.774 6.123
O -0.738 0.023 4.536
O 3.868 1.852 4.039
O -1.039 -0.151 7.121
O 7.905 2.774 1.112
O 6.166 0.960 0.438
O 6.228 1.852 3.196
O 4.536 0.019 2.479
O 1.481 -1.615 3.695
O 3.930 0.960 6.796
O 0.980 -1.784 6.217
O 5.560 0.019 4.755
O 4.141 -2.478 1.336
O 3.365 -1.754 5.296
O 6.731 -1.754 1.938
O 9.172 0.692 5.046
O 11.135 -0.151 0.113
O 10.834 0.023 2.698
O 9.116 -1.784 1.017
O 8.615 -1.615 3.539
O 5.955 -2.478 5.898
O 13.111 -0.044 1.602
```

Results
- ρ (g cm⁻³) = 2.80
- E_tot (eV per atom) = -7.28
- energy of formation from the pure elements (eV/atom) = -2.834
- total magnetic moment (μB/atom) = 0.10

=====

2.
Material: Ba4Sm7Si12BN27
Method: DFT, GGA-PBE
State: optimized geometry

Geometry as extended XYZ:
```
51
Lattice="12.261 0.000 0.000 -6.131 10.619 0.000 0.000 0.000 5.458" Properties=species:S:1:pos:R:3 pbc="T T T"
Ba 0.000 0.000 0.000
Ba -2.523 8.154 0.000
Ba 0.331 4.357 0.000
Ba 2.192 8.727 0.000
Sm 3.992 0.421 2.729
Sm 3.306 3.794 2.729
Sm 7.323 0.966 2.729
Sm 6.131 3.540 0.000
Sm 4.499 6.951 2.729
Sm 7.763 5.859 2.729
Sm 9.901 3.247 2.729
Si 1.160 1.403 2.729
Si -1.425 6.114 2.729
Si 2.978 2.187 0.000
Si -0.123 8.796 2.729
Si 1.548 6.327 2.729
Si 5.743 0.255 0.000
Si 3.480 5.518 0.000
Si 8.878 1.486 0.000
Si 6.536 6.946 0.000
Si 10.467 0.303 2.729
Si 6.766 8.913 2.729
Si 9.169 4.846 0.000
B 6.131 3.540 2.729
N -0.553 1.560 2.729
N -2.347 5.437 1.421
N -2.347 5.437 4.037
N -4.503 10.318 2.729
N -1.534 7.819 2.729
N 1.962 2.163 1.391
N 1.962 2.163 4.067
N 0.126 5.380 2.729
N 4.122 0.883 0.000
N -0.248 9.932 1.421
N -0.248 9.932 4.037
N 3.781 3.777 0.000
N 2.595 5.868 1.421
N 2.595 5.868 4.037
N 1.408 8.038 2.729
N 5.253 2.354 2.729
N 7.100 1.386 0.000
N 5.543 4.892 2.729
N 4.834 6.607 0.000
N 7.596 3.372 2.729
N 9.407 0.617 1.391
N 9.407 0.617 4.067
N 5.056 9.359 2.729
N 7.511 5.456 0.000
N 9.436 3.129 0.000
N 7.023 7.838 1.391
N 7.023 7.838 4.067
```

Results
- ρ (g cm⁻³) = 5.44
- E_tot (eV per atom) = -7.87
- energy of formation from the pure elements (eV/atom) = -1.444
- total magnetic moment (μB/atom) = 0.00

=====

3.
Material: NbSe2
Method: DFT, GGA-PBE
State: optimized geometry

Geometry as extended XYZ:
```
6
Lattice="3.489 0.000 0.000 -1.745 3.022 0.000 0.000 0.000 13.757" Properties=species:S:1:pos:R:3 pbc="T T T"
Nb 0.000 0.000 3.439
Nb 0.000 0.000 10.318
Se 0.000 2.015 1.755
Se 0.000 2.015 5.123
Se 1.745 1.007 8.634
Se 1.745 1.007 12.002
```

Results
- ρ (g cm⁻³) = 5.74
- E_tot (eV per atom) = -6.54
- energy of formation from the pure elements (eV/atom) = -1.155

=====

4.
Material: CaH4SeO6
Method: DFT, GGA-PBE
State: optimized geometry

Geometry as extended XYZ:
```
24
Lattice="3.344 -7.780 0.000 3.344 7.780 0.000 -2.605 0.000 5.271" Properties=species:S:1:pos:R:3 pbc="T T T"
Ca 1.390 5.144 3.953
Ca 2.693 -5.144 1.318
H -0.257 1.338 3.912
H 0.125 0.099 3.007
H 1.428 -0.099 0.371
H 1.045 -1.338 1.276
H 3.038 1.338 3.995
H 2.655 0.099 4.900
H 3.958 -0.099 2.265
H 4.341 -1.338 1.359
Se 2.693 2.616 1.318
Se 1.390 -2.616 3.953
O -0.048 1.070 2.982
O 1.591 3.564 2.145
O 1.731 1.693 0.298
O 1.255 -1.070 0.347
O 3.795 3.564 0.490
O 0.429 -1.693 2.934
O 3.655 1.693 2.338
O 0.288 -3.564 4.781
O 2.828 1.070 4.924
O 2.352 -1.693 4.973
O 2.493 -3.564 3.126
O 4.131 -1.070 2.289
```

Results
- ρ (g cm⁻³) = 2.65
- E_tot (eV per atom) = -5.41
- energy of formation from the pure elements (eV/atom) = -1.691
- total magnetic moment (μB/atom) = 0.00

=====

5.
Material: Mg2Si
Method: DFT, GGA-PBE
State: optimized geometry

Geometry as extended XYZ:
```
3
Lattice="0.000 3.183 3.183 3.183 0.000 3.183 3.183 3.183 0.000" Properties=species:S:1:pos:R:3 pbc="T T T"
Mg 1.591 1.591 1.591
Mg 4.774 4.774 4.774
Si 0.000 0.000 0.000
```

Results
- ρ (g cm⁻³) = 1.98
- E_tot (eV per atom) = -3.03
- energy of formation from the pure elements (eV/atom) = -0.129

=====

6.
Material: Si
Method: DFT, GGA-PBE
State: optimized geometry

Geometry as extended XYZ:
```
4
Lattice="1.631 -4.717 0.000 1.631 4.717 0.000 0.000 0.000 3.992" Properties=species:S:1:pos:R:3 pbc="T T T"
Si 1.631 3.734 2.994
Si 1.631 1.179 2.994
Si 1.631 -1.179 0.998
Si 1.631 -3.734 0.998
```

Results
- ρ (g cm⁻³) = 3.04
- E_tot (eV per atom) = -4.94
- energy of formation from the pure elements (eV/atom) = 0.490
- total magnetic moment (μB/atom) = 0.00

=====

7.
Material: Tl2Cu2SnS4
Method: DFT, GGA-PBE
State: optimized geometry

Geometry as extended XYZ:
```
18
Lattice="-2.659 5.823 6.848 2.659 -5.823 6.848 2.659 5.823 -6.848" Properties=species:S:1:pos:R:3 pbc="T T T"
Tl 1.259 1.402 0.000
Tl 1.259 -1.402 6.848
Tl 1.400 7.225 0.000
Tl 1.400 4.420 6.848
Cu 2.659 3.188 -3.424
Cu 0.000 2.634 3.424
Cu 2.659 3.188 3.424
Cu 0.000 2.634 10.273
Sn 2.659 0.000 3.424
Sn 0.000 5.823 3.424
S 1.424 -1.531 1.983
S 1.235 4.292 -1.983
S 3.895 1.531 1.983
S 1.424 1.531 4.866
S 1.235 4.292 1.983
S -1.235 4.292 4.866
S 1.424 1.531 8.831
S 1.235 7.354 4.866
```

Results
- ρ (g cm⁻³) = 6.13
- E_tot (eV per atom) = -4.03
- energy of formation from the pure elements (eV/atom) = -0.535
- total magnetic moment (μB/atom) = 0.00

=====

8.
Material: TiSn6F16
Method: DFT, GGA-PBE
State: optimized geometry

Geometry as extended XYZ:
```
46
Lattice="9.431 -3.907 0.000 9.431 3.907 0.000 -0.191 0.000 11.100" Properties=species:S:1:pos:R:3 pbc="T T T"
Ti 9.288 2.583 8.325
Ti 9.384 -2.583 2.775
Sn 2.678 0.837 5.882
Sn 5.388 0.656 9.094
Sn 8.027 1.361 1.154
Sn 2.774 -0.837 0.332
Sn 5.484 -0.656 3.544
Sn 10.740 1.361 4.396
Sn 7.932 -1.361 6.704
Sn 13.188 0.656 7.556
Sn 15.898 0.837 10.768
Sn 10.644 -1.361 9.946
Sn 13.283 -0.656 2.006
Sn 15.993 -0.837 5.218
F 2.802 1.217 10.643
F 1.105 0.030 8.772
F 1.200 -0.030 3.222
F 4.365 1.012 4.507
F 8.624 2.598 10.113
F 9.952 2.598 6.537
F 6.527 1.091 2.740
F 4.011 0.067 7.323
F 4.107 -0.067 1.773
F 8.021 1.256 7.849
F 2.897 -1.217 5.093
F 6.798 0.066 10.922
F 4.269 -1.012 10.057
F 6.893 -0.066 5.372
F 10.555 1.256 8.801
F 6.431 -1.091 8.290
F 12.240 1.091 2.810
F 8.117 -1.256 2.299
F 11.778 0.066 5.729
F 14.402 1.012 1.043
F 11.874 -0.066 0.178
F 15.774 1.217 6.007
F 10.650 -1.256 3.251
F 14.565 0.067 9.327
F 14.660 -0.067 3.777
F 12.145 -1.091 8.360
F 8.720 -2.598 4.563
F 10.047 -2.598 0.987
F 14.306 -1.012 6.593
F 17.471 0.030 7.878
F 17.567 -0.030 2.328
F 15.870 -1.217 0.457
```

Results
- ρ (g cm⁻³) = 4.32
- E_tot (eV per atom) = -5.23
- energy of formation from the pure elements (eV/atom) = -2.835

=====

9.
Material: Li2TiNb3O8
Method: DFT, GGA-PBE
State: optimized geometry

Geometry as extended XYZ:
```
56
Lattice="8.656 0.000 0.000 0.015 8.663 0.000 0.129 0.057 8.665" Properties=species:S:1:pos:R:3 pbc="T T T"
Li 0.000 0.000 0.000
Li 0.119 4.369 4.251
Li 2.162 2.259 6.222
Li 2.236 6.590 2.198
Li 4.255 8.579 4.115
Li 4.456 4.474 8.562
Li 6.471 6.415 6.390
Li 6.565 2.066 2.071
Ti 1.178 1.168 3.054
Ti 3.306 5.480 5.441
Ti 5.412 7.666 0.930
Ti 7.652 3.232 7.476
Nb 0.987 3.425 0.887
Nb 1.095 5.395 7.647
Nb 1.076 7.645 5.321
Nb 3.388 7.793 7.581
Nb 3.350 3.346 3.060
Nb 3.347 0.991 0.770
Nb 5.364 5.342 3.079
Nb 5.488 1.108 7.440
Nb 5.554 3.058 5.417
Nb 7.423 1.154 5.441
Nb 7.638 7.563 3.200
Nb 7.748 5.305 0.917
O 1.030 3.315 7.454
O 1.018 1.002 5.135
O 1.069 7.798 3.206
O 1.258 7.560 7.428
O 1.209 3.159 3.054
O 1.196 5.536 1.060
O 1.215 1.181 1.129
O 1.293 5.586 5.390
O 3.127 1.199 3.008
O 3.199 7.458 5.419
O 3.250 5.553 7.351
O 3.191 3.215 1.071
O 3.305 1.257 7.371
O 3.298 5.427 3.345
O 3.390 3.418 5.127
O 3.395 7.532 0.996
O 5.283 5.321 5.172
O 5.344 0.975 5.259
O 5.480 7.581 7.602
O 5.459 3.262 3.271
O 5.433 0.964 0.974
O 5.597 3.269 7.472
O 5.504 5.527 1.123
O 5.535 7.477 2.999
O 7.452 7.463 1.118
O 7.556 5.507 3.095
O 7.609 3.284 5.424
O 7.620 7.651 5.309
O 7.660 1.217 7.496
O 7.571 3.223 0.877
O 7.669 5.323 7.506
O 7.742 0.950 3.270
```

Results
- ρ (g cm⁻³) = 4.79
- E_tot (eV per atom) = -8.25
- energy of formation from the pure elements (eV/atom) = -2.813
- total magnetic moment (μB/atom) = 0.00

=====

10.
Material: Cs2NaNdF6
Method: DFT, GGA-PBE
State: optimized geometry

Geometry as extended XYZ:
```
10
Lattice="0.000 4.655 4.655 4.655 0.000 4.655 4.655 4.655 0.000" Properties=species:S:1:pos:R:3 pbc="T T T"
Cs 2.328 2.328 2.328
Cs 6.983 6.983 6.983
Na 0.000 0.000 0.000
Nd 4.655 4.655 4.655
F 4.655 4.655 2.367
F 4.655 2.367 4.655
F 6.944 4.655 4.655
F 2.367 4.655 4.655
F 4.655 6.944 4.655
F 4.655 4.655 6.944
```

Results
- ρ (g cm⁻³) = 4.50
- E_tot (eV per atom) = -5.19
- energy of formation from the pure elements (eV/atom) = -3.530

=====

11.
Material: TmBiO3
Method: DFT, GGA-PBE
State: optimized geometry

Geometry as extended XYZ:
```
10
Lattice="2.984 1.723 5.040 -2.984 1.723 5.040 0.000 -3.445 5.040" Properties=species:S:1:pos:R:3 pbc="T T T"
Tm 0.000 0.000 0.000
Tm 0.000 0.000 7.560
Bi 0.000 0.000 3.238
Bi 0.000 0.000 10.798
O -1.970 0.390 6.641
O -1.014 -1.333 9.161
O 0.647 -1.901 6.641
O -0.647 1.545 9.161
O 1.322 1.511 6.641
O 1.661 -0.212 9.161
```

Results
- ρ (g cm⁻³) = 9.10
- largest piezoelectric modulus (C/m²) = 5.4
- E_tot (eV per atom) = -7.07
- energy of formation from the pure elements (eV/atom) = -2.837
- total magnetic moment (μB/atom) = 0.00

=====

12.
Material: CaGd2O4
Method: DFT, GGA-PBE
State: optimized geometry

Geometry as extended XYZ:
```
14
Lattice="0.000 4.895 4.895 4.895 0.000 4.895 4.895 4.895 0.000" Properties=species:S:1:pos:R:3 pbc="T T T"
Ca 1.224 1.224 1.224
Ca 8.566 8.566 8.566
Gd 4.895 2.447 2.447
Gd 2.447 4.895 2.447
Gd 2.447 2.447 4.895
Gd 4.895 4.895 4.895
O 2.564 2.564 2.564
O 4.778 4.778 2.564
O 4.778 2.564 4.778
O 7.226 5.011 5.011
O 2.564 4.778 4.778
O 5.011 7.226 5.011
O 5.011 5.011 7.226
O 7.226 7.226 7.226
```

Results
- ρ (g cm⁻³) = 5.93
- E_tot (eV per atom) = -10.41
- energy of formation from the pure elements (eV/atom) = -3.671
- total magnetic moment (μB/atom) = 1.99

=====

13.
Material: TiCl2
Method: DFT, GGA-PBE
State: optimized geometry

Geometry as extended XYZ:
```
3
Lattice="3.527 0.000 0.000 -1.764 3.055 0.000 0.000 0.000 6.824" Properties=species:S:1:pos:R:3 pbc="T T T"
Ti 0.000 0.000 0.000
Cl 0.000 2.037 1.498
Cl 1.764 1.018 5.326
```

Results
- ρ (g cm⁻³) = 2.68
- E_tot (eV per atom) = -5.26
- energy of formation from the pure elements (eV/atom) = -1.805
- total magnetic moment (μB/atom) = 0.66

=====

14.
Material: Tb3Bi
Method: DFT, GGA-PBE
State: optimized geometry

Geometry as extended XYZ:
```
4
Lattice="-2.369 2.369 5.308 2.369 -2.369 5.308 2.369 2.369 -5.308" Properties=species:S:1:pos:R:3 pbc="T T T"
Tb 0.000 0.000 0.000
Tb 2.369 0.000 2.654
Tb 0.000 2.369 2.654
Bi 0.000 0.000 5.308
```

Results
- ρ (g cm⁻³) = 9.55
- E_tot (eV per atom) = -4.79
- energy of formation from the pure elements (eV/atom) = -0.344
- total magnetic moment (μB/atom) = 0.00

=====

15.
Material: Zr4Zn
Method: DFT, GGA-PBE
State: optimized geometry

Geometry as extended XYZ:
```
10
Lattice="0.000 5.028 5.028 5.028 0.000 5.028 5.028 5.028 0.000" Properties=species:S:1:pos:R:3 pbc="T T T"
Zr 7.742 4.828 4.828
Zr 2.314 2.314 2.314
Zr 5.228 5.228 2.314
Zr 5.228 2.314 5.228
Zr 4.828 7.742 4.828
Zr 4.828 4.828 7.742
Zr 7.742 7.742 7.742
Zr 2.314 5.228 5.228
Zn 3.771 3.771 3.771
Zn 6.285 6.285 6.285
```

Results
- ρ (g cm⁻³) = 5.62
- E_tot (eV per atom) = -6.48
- energy of formation from the pure elements (eV/atom) = 0.614
- total magnetic moment (μB/atom) = 0.00